## BaMgMn4O8 (GGA+U)

Data for a geometry-optimized BaMgMn4O8 structure.

a = 14.570 Å, b = 3.275 Å, c = 10.070 Å
α = 90.00°, β = 133.53°, γ = 90.00°
Space group C2 (No. 5)
Symmetry-distinct sites (fractional):
Ba1 0.000 0.000 0.000 x2
Mg1 0.000 0.895 0.500 x2
Mn1 0.152 0.112 0.463 x4
Mn2 0.168 0.414 0.833 x4
O1 0.031 0.002 0.724 x4
O2 0.128 0.432 0.602 x4
O3 0.164 0.644 0.347 x4
O4 0.203 0.371 0.056 x4

Properties
**Magnetic moment**: 16.00 μB per formula unit
**Formation energy**: -2.1960 eV per atom
**Energy above the most stable polymorph in this dataset**: 0.000 eV per atom

## Ba3MgMn2O8 (GGA+U)

Data for a geometry-optimized Ba3MgMn2O8 structure.

a = 5.8247 Å, b = 5.8247 Å, c = 22.9722 Å
α = 90.00°, β = 90.00°, γ = 120.00°
Space group R-3m (No. 166, hexagonal axes)
Symmetry-distinct sites (fractional):
Ba1 0.0000 0.0000 0.0000 x3
Ba2 0.0000 0.0000 0.2064 x6
Mg1 0.0000 0.0000 0.5000 x3
Mn1 0.0000 0.0000 0.3933 x6
O1 0.0000 0.0000 0.3165 x6
O2 0.0287 0.5143 0.2295 x18

Properties
**Magnetic moment**: 6.00 μB per formula unit
**Formation energy**: -2.4015 eV per atom

## Ba4MgMn4P8O28 (GGA+U)

Data for a geometry-optimized Ba4MgMn4P8O28 structure.

a = 5.742 Å, b = 8.753 Å, c = 13.290 Å
α = 88.47°, β = 89.18°, γ = 89.77°
Space group P1 (No. 1)
Symmetry-distinct sites (fractional):
Ba1 0.000 0.000 0.000 x1
Ba2 0.058 0.501 0.940 x1
Ba3 0.516 0.211 0.511 x1
Ba4 0.581 0.721 0.447 x1
Mg1 0.031 0.305 0.190 x1
Mn1 0.107 0.524 0.623 x1
Mn2 0.482 0.200 0.833 x1
Mn3 0.608 0.686 0.116 x1
Mn4 0.974 0.029 0.325 x1
P1 0.044 0.912 0.556 x1
P2 0.052 0.415 0.404 x1
P3 0.103 0.674 0.248 x1
P4 0.494 0.040 0.201 x1
P5 0.519 0.300 0.046 x1
P6 0.534 0.806 0.893 x1
P7 0.589 0.559 0.744 x1
P8 0.989 0.163 0.704 x1
O1 0.027 0.989 0.666 x1
O2 0.052 0.496 0.291 x1
O3 0.104 0.162 0.807 x1
O4 0.113 0.249 0.379 x1
O5 0.116 0.271 0.628 x1
O6 0.231 0.009 0.205 x1
O7 0.245 0.488 0.465 x1
O8 0.290 0.940 0.515 x1
O9 0.292 0.773 0.937 x1
O10 0.312 0.236 0.987 x1
O11 0.369 0.685 0.244 x1
O12 0.455 0.451 0.817 x1
O13 0.480 0.562 0.639 x1
O14 0.484 0.470 0.068 x1
O15 0.518 0.217 0.157 x1
O16 0.550 0.733 0.782 x1
O17 0.588 0.975 0.876 x1
O18 0.602 0.042 0.306 x1
O19 0.622 0.936 0.127 x1
O20 0.724 0.190 0.705 x1
O21 0.726 0.729 0.958 x1
O22 0.740 0.265 0.984 x1
O23 0.811 0.440 0.450 x1
O24 0.853 0.529 0.744 x1
O25 0.858 0.989 0.488 x1
O26 0.984 0.675 0.145 x1
O27 0.984 0.743 0.574 x1
O28 0.984 0.776 0.325 x1

Properties
**Magnetic moment**: 20.00 μB per formula unit
**Formation energy**: -2.7939 eV per atom
**Energy above the most stable polymorph in this dataset**: 0.017 eV per atom

## Ba2MgMn2P4O14 (GGA+U)

Data for a geometry-optimized Ba2MgMn2P4O14 structure.

a = 5.387 Å, b = 7.575 Å, c = 9.849 Å
α = 100.14°, β = 105.42°, γ = 90.83°
Space group P1 (No. 1)
Symmetry-distinct sites (fractional):
Ba1 0.000 0.000 0.000 x1
Ba2 0.346 0.929 0.666 x1
Mg1 0.683 0.414 0.324 x1
Mn1 0.057 0.538 0.173 x1
Mn2 0.239 0.419 0.464 x1
P1 0.488 0.347 0.991 x1
P2 0.496 0.733 0.047 x1
P3 0.831 0.206 0.569 x1
P4 0.834 0.590 0.644 x1
O1 0.092 0.611 0.608 x1
O2 0.098 0.205 0.539 x1
O3 0.297 0.747 0.134 x1
O4 0.323 0.203 0.876 x1
O5 0.408 0.363 0.135 x1
O6 0.429 0.538 0.939 x1
O7 0.456 0.874 0.951 x1
O8 0.604 0.584 0.505 x1
O9 0.613 0.219 0.433 x1
O10 0.778 0.739 0.136 x1
O11 0.782 0.328 0.021 x1
O12 0.793 0.052 0.644 x1
O13 0.803 0.727 0.769 x1
O14 0.821 0.391 0.684 x1

Properties
**Magnetic moment**: 10.00 μB per formula unit
**Formation energy**: -2.7181 eV per atom
**Energy above the most stable polymorph in this dataset**: 0.000 eV per atom

## Ba4MgMn4P8O28 (GGA+U)

Data for a geometry-optimized Ba4MgMn4P8O28 structure.

a = 5.678 Å, b = 8.935 Å, c = 13.904 Å
α = 87.35°, β = 85.08°, γ = 89.07°
Space group P1 (No. 1)
Symmetry-distinct sites (fractional):
Ba1 0.000 0.000 0.000 x1
Ba2 0.047 0.504 0.935 x1
Ba3 0.415 0.758 0.441 x1
Ba4 0.474 0.255 0.411 x1
Mg1 0.573 0.835 0.847 x1
Mn1 0.012 0.425 0.581 x1
Mn2 0.292 0.722 0.722 x1
Mn3 0.569 0.301 0.096 x1
Mn4 0.929 0.967 0.309 x1
P1 0.038 0.324 0.218 x1
P2 0.457 0.944 0.181 x1
P3 0.473 0.381 0.700 x1
P4 0.491 0.695 0.047 x1
P5 0.523 0.200 0.884 x1
P6 0.847 0.786 0.644 x1
P7 0.925 0.052 0.509 x1
P8 0.950 0.561 0.362 x1
O1 0.053 0.687 0.598 x1
O2 0.136 0.490 0.426 x1
O3 0.159 0.018 0.449 x1
O4 0.186 0.958 0.187 x1
O5 0.255 0.751 0.014 x1
O6 0.272 0.226 0.932 x1
O7 0.303 0.484 0.760 x1
O8 0.305 0.294 0.216 x1
O9 0.354 0.334 0.610 x1
O10 0.493 0.527 0.068 x1
O11 0.513 0.231 0.769 x1
O12 0.535 0.776 0.146 x1
O13 0.557 0.945 0.280 x1
O14 0.580 0.057 0.107 x1
O15 0.605 0.756 0.609 x1
O16 0.612 0.038 0.891 x1
O17 0.696 0.301 0.930 x1
O18 0.699 0.521 0.401 x1
O19 0.703 0.742 0.973 x1
O20 0.719 0.445 0.677 x1
O21 0.722 0.997 0.453 x1
O22 0.860 0.780 0.753 x1
O23 0.894 0.217 0.531 x1
O24 0.896 0.216 0.290 x1
O25 0.920 0.959 0.611 x1
O26 0.942 0.329 0.117 x1
O27 0.989 0.730 0.347 x1
O28 0.996 0.494 0.255 x1

Properties
**Magnetic moment**: 20.00 μB per formula unit
**Formation energy**: -2.8108 eV per atom
**Energy above the most stable polymorph in this dataset**: 0.000 eV per atom

## Ba2MgMn2P4O14 (GGA+U)

Data for a geometry-optimized Ba2MgMn2P4O14 structure.

a = 5.580 Å, b = 7.442 Å, c = 8.496 Å
α = 103.32°, β = 92.44°, γ = 90.40°
Space group P1 (No. 1)
Symmetry-distinct sites (fractional):
Ba1 0.000 0.000 0.000 x1
Ba2 0.439 0.889 0.584 x1
Mg1 0.466 0.490 0.739 x1
Mn1 0.038 0.553 0.241 x1
Mn2 0.441 0.318 0.407 x1
P1 0.515 0.348 0.030 x1
P2 0.540 0.758 0.131 x1
P3 0.945 0.163 0.545 x1
P4 0.960 0.595 0.655 x1
O1 0.144 0.141 0.424 x1
O2 0.185 0.673 0.762 x1
O3 0.301 0.327 0.136 x1
O4 0.364 0.741 0.261 x1
O5 0.484 0.908 0.042 x1
O6 0.488 0.238 0.855 x1
O7 0.494 0.558 0.996 x1
O8 0.697 0.126 0.458 x1
O9 0.740 0.681 0.747 x1
O10 0.760 0.337 0.117 x1
O11 0.809 0.757 0.179 x1
O12 0.947 0.377 0.657 x1
O13 0.964 0.625 0.484 x1
O14 0.985 0.048 0.672 x1

Properties
**Magnetic moment**: 10.00 μB per formula unit
**Formation energy**: -2.7069 eV per atom
**Energy above the most stable polymorph in this dataset**: 0.011 eV per atom

## Ba2MgMn2P4O14 (GGA+U)

Data for a geometry-optimized Ba2MgMn2P4O14 structure.

a = 5.587 Å, b = 7.656 Å, c = 8.833 Å
α = 109.72°, β = 91.03°, γ = 91.89°
Space group P1 (No. 1)
Symmetry-distinct sites (fractional):
Ba1 0.000 0.000 0.000 x1
Ba2 0.416 0.936 0.543 x1
Mg1 0.441 0.563 0.715 x1
Mn1 0.022 0.553 0.193 x1
Mn2 0.414 0.346 0.383 x1
P1 0.500 0.326 0.995 x1
P2 0.529 0.734 0.088 x1
P3 0.909 0.191 0.473 x1
P4 0.940 0.627 0.604 x1
O1 0.100 0.172 0.345 x1
O2 0.153 0.716 0.723 x1
O3 0.303 0.341 0.121 x1
O4 0.349 0.737 0.217 x1
O5 0.444 0.168 0.842 x1
O6 0.476 0.862 0.995 x1
O7 0.482 0.520 0.947 x1
O8 0.660 0.146 0.388 x1
O9 0.717 0.725 0.688 x1
O10 0.754 0.333 0.068 x1
O11 0.795 0.743 0.137 x1
O12 0.910 0.412 0.595 x1
O13 0.953 0.083 0.585 x1
O14 0.977 0.640 0.438 x1

Properties
**Magnetic moment**: 10.00 μB per formula unit
**Formation energy**: -2.7087 eV per atom
**Energy above the most stable polymorph in this dataset**: 0.009 eV per atom

## Ba2YMgMn2TlO7 (GGA+U)

Data for a geometry-optimized Ba2YMgMn2TlO7 structure.

a = 3.983 Å, b = 3.983 Å, c = 14.855 Å
α = 90.00°, β = 90.00°, γ = 90.00°
Space group P4/mmm (No. 123)
Symmetry-distinct sites (fractional):
Ba1 0.000 0.000 0.168 x2
Y1 0.000 0.000 0.500 x1
Mg1 0.500 0.500 0.500 x1
Mn1 0.500 0.500 0.332 x2
Tl1 0.500 0.500 0.000 x1
O1 0.000 0.000 0.000 x1
O2 0.000 0.500 0.412 x4
O3 0.500 0.500 0.198 x2

Properties
**Magnetic moment**: 9.98 μB per formula unit
**Formation energy**: -2.2387 eV per atom
**Energy above the most stable polymorph in this dataset**: 0.171 eV per atom

## Ba2YMgMn2TlO7 (GGA+U)

Data for a geometry-optimized Ba2YMgMn2TlO7 structure.

a = 4.040 Å, b = 3.820 Å, c = 16.046 Å
α = 90.00°, β = 90.20°, γ = 90.00°
Space group Pm (No. 6)
Symmetry-distinct sites (fractional):
Ba1 0.000 0.000 0.000 x1
Ba2 0.005 0.000 0.491 x1
Y1 0.004 0.000 0.253 x1
Mg1 0.010 0.500 0.807 x1
Mn1 0.502 0.500 0.137 x1
Mn2 0.504 0.500 0.375 x1
Tl1 0.507 0.500 0.660 x1
O1 0.003 0.500 0.164 x1
O2 0.004 0.500 0.349 x1
O3 0.006 0.000 0.835 x1
O4 0.501 0.500 0.011 x1
O5 0.503 0.000 0.186 x1
O6 0.504 0.000 0.360 x1
O7 0.506 0.500 0.513 x1

Properties
**Magnetic moment**: 9.10 μB per formula unit
**Formation energy**: -2.4097 eV per atom
**Energy above the most stable polymorph in this dataset**: 0.000 eV per atom

## Ba2MgMn3Tl2Zn2O10 (GGA+U)

Data for a geometry-optimized Ba2MgMn3Tl2Zn2O10 structure.

a = 3.792 Å, b = 3.999 Å, c = 20.654 Å
α = 94.54°, β = 94.02°, γ = 90.03°
Space group P1 (No. 1)
Symmetry-distinct sites (fractional):
Ba1 0.000 0.000 0.000 x1
Ba2 0.240 0.811 0.550 x1
Mg1 0.459 0.387 0.894 x1
Mn1 0.540 0.545 0.099 x1
Mn2 0.618 0.208 0.288 x1
Mn3 0.699 0.274 0.450 x1
Tl1 0.323 0.791 0.779 x1
Tl2 0.788 0.355 0.676 x1
Zn1 0.067 0.062 0.164 x1
Zn2 0.152 0.743 0.366 x1
O1 0.048 0.558 0.119 x1
O2 0.106 0.185 0.256 x1
O3 0.181 0.258 0.403 x1
O4 0.286 0.991 0.679 x1
O5 0.497 0.513 0.991 x1
O6 0.547 0.053 0.115 x1
O7 0.630 0.718 0.313 x1
O8 0.708 0.776 0.451 x1
O9 0.740 0.313 0.552 x1
O10 0.954 0.244 0.882 x1

Properties
**Magnetic moment**: 13.03 μB per formula unit
**Formation energy**: -1.8848 eV per atom

## Ba2NdMgMoO6 (GGA+U)

Data for a geometry-optimized Ba2NdMgMoO6 structure.

a = 5.974 Å, b = 6.017 Å, c = 6.475 Å
α = 112.95°, β = 93.76°, γ = 119.34°
Space group P1 (No. 1)
Symmetry-distinct sites (fractional):
Ba1 0.000 0.000 0.000 x1
Ba2 0.242 0.490 0.702 x1
Nd1 0.793 0.593 0.365 x1
Mg1 0.410 0.844 0.284 x1
Mo1 0.613 0.231 0.826 x1
O1 0.020 0.484 0.084 x1
O2 0.234 0.998 0.550 x1
O3 0.477 0.054 0.080 x1
O4 0.561 0.584 0.057 x1
O5 0.639 0.883 0.579 x1
O6 0.784 0.462 0.647 x1

Properties
**Magnetic moment**: 3.00 μB per formula unit
**Formation energy**: -2.8084 eV per atom

## Ba2MgNiMoO6 (GGA+U)

Data for a geometry-optimized Ba2MgNiMoO6 structure.

a = 10.325 Å, b = 5.950 Å, c = 6.261 Å
α = 90.00°, β = 123.34°, γ = 90.00°
Space group Cm (No. 8)
Symmetry-distinct sites (fractional):
Ba1 0.000 0.000 0.000 x2
Ba2 0.042 0.500 0.627 x2
Mg1 0.328 0.000 0.983 x2
Ni1 0.177 0.000 0.532 x2
Mo1 0.276 0.500 0.328 x2
O1 0.002 0.000 0.551 x2
O2 0.043 0.500 0.097 x2
O3 0.275 0.266 0.095 x4
O4 0.275 0.272 0.554 x4

Properties
**Magnetic moment**: 0.00 μB per formula unit
**Formation energy**: -2.1125 eV per atom
**Energy above the most stable polymorph in this dataset**: 0.098 eV per atom